TbEu2NbO6: relaxed, PBE.

## Properties
Space-group type: Fm-3m
Electronic total energy, eV per atom: -9.42
Formation energy from the elements, eV per atom: -3.3392
Total magnetic moment, μB per cell: 14.0

Unit cell a=5.9739 b=5.9739 c=5.9739 alpha=60.00 beta=60.00 gamma=60.00
Closest atoms and distances in Å follow each position.
Fractional coordinates of all 10 atoms:
Nb1 0.0000 0.0000 0.0000  6 O 2.01
Tb1 0.5000 0.5000 0.5000  6 O 2.22
Eu1 0.2500 0.2500 0.2500  12 O 2.99
Eu2 0.7500 0.7500 0.7500  12 O 2.99
O1 0.7625 0.2375 0.7625  1 Nb 2.01, 1 Tb 2.22
O2 0.7625 0.2375 0.2375  1 Nb 2.01, 1 Tb 2.22
O3 0.7625 0.7625 0.2375  1 Nb 2.01, 1 Tb 2.22
O4 0.2375 0.2375 0.7625  1 Nb 2.01, 1 Tb 2.22
O5 0.2375 0.7625 0.7625  1 Nb 2.01, 1 Tb 2.22
O6 0.2375 0.7625 0.2375  1 Nb 2.01, 1 Tb 2.22

---

ZnPH5O6: relaxed, PBE.

## Properties
Space-group type: Pnma
Electronic total energy, eV per atom: -5.53
Formation energy from the elements, eV per atom: -1.7408
Total magnetic moment, μB per cell: 0.0

Unit cell a=8.4188 b=9.2979 c=26.0160 alpha=90.00 beta=90.00 gamma=90.00
Closest atoms and distances in Å follow each position.
Fractional coordinates of all 208 atoms:
O1 0.3872 0.0546 0.3130  2 H 0.99-1.01
O2 0.2781 0.0443 0.8080  2 H 0.99-1.00
O3 0.1094 0.2803 0.7500  2 H 0.98
O4 0.4656 0.7803 0.2500  2 H 0.99
O5 0.1311 0.8247 0.0472  1 P 1.52, 1 H 1.63
O6 0.5517 0.6301 0.3394  1 P 1.50, 1 H 1.63
O7 0.5895 0.1044 0.9819  1 P 1.54
O8 0.1274 0.2269 0.4075  2 P 1.62-1.64
O9 0.4483 0.3699 0.6606  1 P 1.50, 1 H 1.63
O10 0.6583 0.8221 0.3988  1 P 1.55, 1 H 1.73
O11 0.8689 0.1753 0.5472  1 P 1.52, 1 H 1.63
O12 0.6928 0.3609 0.5031  1 P 1.55
O13 0.1388 0.8743 0.3245  2 H 0.97-0.98
O14 0.8906 0.7197 0.2500  2 H 0.98
O15 0.6583 0.8221 0.1012  1 P 1.55, 1 H 1.73
O16 0.0895 0.3956 0.0181  1 P 1.54
O17 0.7219 0.9557 0.1920  2 H 0.99-1.00
O18 0.4105 0.8956 0.4819  1 P 1.54
O19 0.1103 0.9275 0.9345  1 P 1.55
O20 0.1128 0.5546 0.3130  2 H 0.99-1.01
O21 0.8072 0.8609 0.5031  1 P 1.55
O22 0.3897 0.4275 0.5655  1 P 1.55
O23 0.8872 0.4454 0.8130  2 H 0.99-1.01
O24 0.6128 0.9454 0.6870  2 H 0.99-1.01
O25 0.8689 0.1753 0.9528  1 P 1.52, 1 H 1.63
O26 0.0517 0.8699 0.8394  1 P 1.50, 1 H 1.63
O27 0.9481 0.6338 0.4071  2 H 0.99-1.02
O28 0.6128 0.9454 0.8130  2 H 0.99-1.01
O29 0.4105 0.8956 0.0181  1 P 1.54
O30 0.8726 0.7731 0.5925  2 P 1.62-1.64
O31 0.2781 0.0443 0.6920  2 H 0.99-1.00
O32 0.1388 0.8743 0.1755  2 H 0.97-0.98
O33 0.0895 0.3956 0.4819  1 P 1.54
O34 0.6311 0.6753 0.5472  1 P 1.52, 1 H 1.63
O35 0.9105 0.6044 0.9819  1 P 1.54
O36 0.0519 0.3662 0.5929  2 H 0.99-1.02
O37 0.8072 0.8609 0.9969  1 P 1.55
O38 0.7781 0.4557 0.1920  2 H 0.99-1.00
O39 0.6928 0.3609 0.9969  1 P 1.55
O40 0.3072 0.6391 0.4969  1 P 1.55
O41 0.4481 0.8662 0.5929  2 H 0.99-1.02
O42 0.9105 0.6044 0.5181  1 P 1.54
O43 0.6103 0.5725 0.0655  1 P 1.55
O44 0.5517 0.6301 0.1606  1 P 1.50, 1 H 1.63
O45 0.3906 0.7803 0.7500  2 H 0.98
O46 0.8872 0.4454 0.6870  2 H 0.99-1.01
O47 0.8897 0.0725 0.4345  1 P 1.55
O48 0.1583 0.6779 0.6012  1 P 1.55, 1 H 1.73
O49 0.3417 0.1779 0.6012  1 P 1.55, 1 H 1.73
O50 0.6094 0.2197 0.2500  2 H 0.98
O51 0.5519 0.1338 0.0929  2 H 0.99-1.02
O52 0.0344 0.2803 0.2500  2 H 0.99
O53 0.1928 0.1391 0.4969  1 P 1.55
O54 0.4481 0.8662 0.9071  2 H 0.99-1.02
O55 0.9483 0.1301 0.3394  1 P 1.50, 1 H 1.63
O56 0.9483 0.1301 0.1606  1 P 1.50, 1 H 1.63
O57 0.9656 0.7197 0.7500  2 H 0.99
O58 0.5895 0.1044 0.5181  1 P 1.54
O59 0.6103 0.5725 0.4345  1 P 1.55
O60 0.2219 0.5443 0.8080  2 H 0.99-1.00
O61 0.3612 0.3743 0.3245  2 H 0.97-0.98
O62 0.1311 0.8247 0.4528  1 P 1.52, 1 H 1.63
O63 0.3072 0.6391 0.0031  1 P 1.55
O64 0.3726 0.7269 0.4075  2 P 1.62-1.64
O65 0.1583 0.6779 0.8988  1 P 1.55, 1 H 1.73
O66 0.3897 0.4275 0.9345  1 P 1.55
O67 0.5519 0.1338 0.4071  2 H 0.99-1.02
O68 0.2219 0.5443 0.6920  2 H 0.99-1.00
O69 0.3872 0.0546 0.1870  2 H 0.99-1.01
O70 0.1928 0.1391 0.0031  1 P 1.55
O71 0.8417 0.3221 0.1012  1 P 1.55, 1 H 1.73
O72 0.7219 0.9557 0.3080  2 H 0.99-1.00
O73 0.3612 0.3743 0.1755  2 H 0.97-0.98
O74 0.3689 0.3247 0.0472  1 P 1.52, 1 H 1.63
O75 0.6274 0.2731 0.5925  2 P 1.62-1.64
O76 0.1103 0.9275 0.5655  1 P 1.55
O77 0.8612 0.1257 0.8245  2 H 0.97-0.98
O78 0.5344 0.2197 0.7500  2 H 0.99
O79 0.6274 0.2731 0.9075  2 P 1.62-1.64
O80 0.3726 0.7269 0.0925  2 P 1.62-1.64
O81 0.3417 0.1779 0.8988  1 P 1.55, 1 H 1.73
O82 0.6311 0.6753 0.9528  1 P 1.52, 1 H 1.63
O83 0.1274 0.2269 0.0925  2 P 1.62-1.64
O84 0.7781 0.4557 0.3080  2 H 0.99-1.00
O85 0.0519 0.3662 0.9071  2 H 0.99-1.02
O86 0.9481 0.6338 0.0929  2 H 0.99-1.02
O87 0.1128 0.5546 0.1870  2 H 0.99-1.01
O88 0.0517 0.8699 0.6606  1 P 1.50, 1 H 1.63
O89 0.8612 0.1257 0.6755  2 H 0.97-0.98
O90 0.8726 0.7731 0.9075  2 P 1.62-1.64
O91 0.8897 0.0725 0.0655  1 P 1.55
O92 0.6388 0.6257 0.6755  2 H 0.97-0.98
O93 0.6388 0.6257 0.8245  2 H 0.97-0.98
O94 0.8417 0.3221 0.3988  1 P 1.55, 1 H 1.73
O95 0.4483 0.3699 0.8394  1 P 1.50, 1 H 1.63
O96 0.3689 0.3247 0.4528  1 P 1.52, 1 H 1.63
H1 0.3559 0.8032 0.9009  1 O 0.99
H2 0.6923 0.9056 0.3403  1 O 0.99
H3 0.0034 0.2230 0.2806  1 O 0.99
H4 0.9966 0.7770 0.7806  1 O 0.99
H5 0.1938 0.9734 0.8179  1 O 1.00
H6 0.7043 0.0135 0.6821  1 O 1.01
H7 0.4204 0.7205 0.7206  1 O 0.98
H8 0.4081 0.4086 0.3564  1 O 0.97
H9 0.9771 0.3001 0.9266  1 O 1.02
H10 0.1923 0.5944 0.6597  1 O 0.99
H11 0.4483 0.0563 0.1547  1 O 0.99
H12 0.3062 0.4734 0.8179  1 O 1.00
H13 0.9483 0.4437 0.8453  1 O 0.99
H14 0.6684 0.7269 0.6700  1 O 0.98
H15 0.3077 0.0944 0.8403  1 O 0.99
H16 0.5517 0.9437 0.8453  1 O 0.99
H17 0.0517 0.5563 0.3453  1 O 0.99
H18 0.6938 0.5266 0.1821  1 O 1.00
H19 0.0229 0.6999 0.4266  1 O 1.02
H20 0.7043 0.0135 0.8179  1 O 1.01
H21 0.6441 0.1968 0.4009  1 O 0.99
H22 0.2957 0.9865 0.1821  1 O 1.01
H23 0.4966 0.7230 0.2194  1 O 0.99
H24 0.0796 0.2205 0.7794  1 O 0.98
H25 0.6938 0.5266 0.3179  1 O 1.00
H26 0.7957 0.5135 0.8179  1 O 1.01
H27 0.8559 0.6968 0.0991  1 O 0.99
H28 0.4204 0.7205 0.7794  1 O 0.98
H29 0.7957 0.5135 0.6821  1 O 1.01
H30 0.1684 0.7731 0.1700  1 O 0.98
H31 0.8062 0.0266 0.3179  1 O 1.00
H32 0.0796 0.2205 0.7206  1 O 0.98
H33 0.5919 0.5914 0.8564  1 O 0.97
H34 0.2043 0.4865 0.3179  1 O 1.01
H35 0.8077 0.4056 0.1597  1 O 0.99
H36 0.9771 0.3001 0.5734  1 O 1.02
H37 0.9483 0.4437 0.6547  1 O 0.99
H38 0.5034 0.2770 0.7194  1 O 0.99
H39 0.2957 0.9865 0.3179  1 O 1.01
H40 0.9081 0.0914 0.8564  1 O 0.97
H41 0.1923 0.5944 0.8403  1 O 0.99
H42 0.1441 0.3032 0.9009  1 O 0.99
H43 0.1441 0.3032 0.5991  1 O 0.99
H44 0.2043 0.4865 0.1821  1 O 1.01
H45 0.8062 0.0266 0.1821  1 O 1.00
H46 0.4081 0.4086 0.1436  1 O 0.97
H47 0.1684 0.7731 0.3300  1 O 0.98
H48 0.4483 0.0563 0.3453  1 O 0.99
H49 0.5229 0.8001 0.5734  1 O 1.02
H50 0.4771 0.1999 0.0734  1 O 1.02
H51 0.9204 0.7795 0.2206  1 O 0.98
H52 0.5796 0.2795 0.2206  1 O 0.98
H53 0.4771 0.1999 0.4266  1 O 1.02
H54 0.3559 0.8032 0.5991  1 O 0.99
H55 0.8077 0.4056 0.3403  1 O 0.99
H56 0.9204 0.7795 0.2794  1 O 0.98
H57 0.0919 0.9086 0.1436  1 O 0.97
H58 0.4966 0.7230 0.2806  1 O 0.99
H59 0.5034 0.2770 0.7806  1 O 0.99
H60 0.5229 0.8001 0.9266  1 O 1.02
H61 0.0919 0.9086 0.3564  1 O 0.97
H62 0.1938 0.9734 0.6821  1 O 1.00
H63 0.8559 0.6968 0.4009  1 O 0.99
H64 0.6684 0.7269 0.8300  1 O 0.98
H65 0.9966 0.7770 0.7194  1 O 0.99
H66 0.6923 0.9056 0.1597  1 O 0.99
H67 0.5796 0.2795 0.2794  1 O 0.98
H68 0.9081 0.0914 0.6436  1 O 0.97
H69 0.5919 0.5914 0.6436  1 O 0.97
H70 0.3062 0.4734 0.6821  1 O 1.00
H71 0.8316 0.2269 0.8300  1 O 0.98
H72 0.3077 0.0944 0.6597  1 O 0.99
H73 0.3316 0.2731 0.3300  1 O 0.98
H74 0.0229 0.6999 0.0734  1 O 1.02
H75 0.5517 0.9437 0.6547  1 O 0.99
H76 0.0517 0.5563 0.1547  1 O 0.99
H77 0.8316 0.2269 0.6700  1 O 0.98
H78 0.3316 0.2731 0.1700  1 O 0.98
H79 0.6441 0.1968 0.0991  1 O 0.99
H80 0.0034 0.2230 0.2194  1 O 0.99
Zn1 0.5508 0.9957 0.2500  6 O 2.12-2.21
Zn2 0.0000 0.0000 0.0000  4 O 2.06-2.08
Zn3 0.1389 0.5336 0.9565  5 O 2.02-2.15
Zn4 0.9492 0.4957 0.2500  6 O 2.12-2.21
Zn5 0.8611 0.4664 0.4565  5 O 2.02-2.15
Zn6 0.6389 0.9664 0.0435  5 O 2.02-2.15
Zn7 0.8611 0.4664 0.0435  5 O 2.02-2.15
Zn8 0.1389 0.5336 0.5435  5 O 2.02-2.15
Zn9 0.0000 0.0000 0.5000  4 O 2.06-2.08
Zn10 0.5000 0.5000 0.5000  4 O 2.06-2.08
Zn11 0.5000 0.5000 0.0000  4 O 2.06-2.08
Zn12 0.3611 0.0336 0.5435  5 O 2.02-2.15
Zn13 0.3611 0.0336 0.9565  5 O 2.02-2.15
Zn14 0.0508 0.5043 0.7500  6 O 2.12-2.21
Zn15 0.6389 0.9664 0.4565  5 O 2.02-2.15
Zn16 0.4492 0.0043 0.7500  6 O 2.12-2.21
P1 0.1998 0.2748 0.4627  4 O 1.52-1.62
P2 0.3002 0.7748 0.4627  4 O 1.52-1.62
P3 0.0563 0.8164 0.8939  4 O 1.50-1.64
P4 0.6998 0.2252 0.5373  4 O 1.52-1.62
P5 0.8002 0.7252 0.5373  4 O 1.52-1.62
P6 0.8002 0.7252 0.9627  4 O 1.52-1.62
P7 0.3002 0.7748 0.0373  4 O 1.52-1.62
P8 0.5563 0.6836 0.1061  4 O 1.50-1.64
P9 0.6998 0.2252 0.9627  4 O 1.52-1.62
P10 0.9437 0.1836 0.3939  4 O 1.50-1.64
P11 0.5563 0.6836 0.3939  4 O 1.50-1.64
P12 0.4437 0.3164 0.6061  4 O 1.50-1.64
P13 0.4437 0.3164 0.8939  4 O 1.50-1.64
P14 0.9437 0.1836 0.1061  4 O 1.50-1.64
P15 0.1998 0.2748 0.0373  4 O 1.52-1.62
P16 0.0563 0.8164 0.6061  4 O 1.50-1.64

---

K2ZnBr4: relaxed, PBE.

## Properties
Space-group type: P2_1
Electronic total energy, eV per atom: -2.86
Formation energy from the elements, eV per atom: -1.7293
Piezoelectric modulus e_max, C/m²: 0.019

Unit cell a=7.6631 b=7.4187 c=9.2813 alpha=71.47 beta=90.00 gamma=90.00
Closest atoms and distances in Å follow each position.
Fractional coordinates of all 14 atoms:
Br1 0.7328 0.9224 0.3648  1 Zn 2.43
Br2 0.9979 0.5120 0.2600  1 Zn 2.44
Br3 0.7295 0.8968 0.9341  1 Zn 2.43
Br4 0.4989 0.4948 0.2665  1 Zn 2.45
Br5 0.4979 0.4880 0.7400  1 Zn 2.44
Br6 0.2328 0.0776 0.6352  1 Zn 2.43
Br7 0.9989 0.5052 0.7335  1 Zn 2.45
Br8 0.2295 0.1032 0.0659  1 Zn 2.43
Zn1 0.7427 0.7198 0.2042  4 Br 2.43-2.45
Zn2 0.2427 0.2802 0.7958  4 Br 2.43-2.45
K1 0.2571 0.7721 0.4279  7 Br 3.41-3.80
K2 0.2564 0.7115 0.9526  6 Br 3.32-3.51
K3 0.7564 0.2885 0.0474  6 Br 3.32-3.51
K4 0.7571 0.2279 0.5721  7 Br 3.41-3.80

---

SrAs2O6: relaxed, PBE.

## Properties
Space-group type: P-31m
Electronic total energy, eV per atom: -6.30
Formation energy from the elements, eV per atom: -2.2327

Unit cell a=4.9471 b=4.9471 c=5.5233 alpha=90.00 beta=90.00 gamma=120.00
Closest atoms and distances in Å follow each position.
Fractional coordinates of all 9 atoms:
O1 0.6175 0.6175 0.3085  2 As 1.87
O2 0.0000 0.3825 0.3085  2 As 1.87
O3 0.6175 0.0000 0.6915  2 As 1.87
O4 0.0000 0.6175 0.6915  2 As 1.87
O5 0.3825 0.3825 0.6915  2 As 1.87
O6 0.3825 0.0000 0.3085  2 As 1.87
As1 0.3333 0.6667 0.5000  6 O 1.87
As2 0.6667 0.3333 0.5000  6 O 1.87
Sr1 0.0000 0.0000 0.0000  6 O 2.55